# 1
# YSi (PBE, relaxed)
# * magnetization: 0.0 μB/f.u.
# * symmetry: P-62m (189)
data_YSi
_chemical_formula_sum 'Y3 Si3'
_space_group_name_H-M_alt 'P 1'
_space_group_IT_number 1
_space_group_name_Hall 'P 1'
_cell_length_a 6.9613
_cell_length_b 6.9613
_cell_length_c 4.0876
_cell_angle_alpha 90.00
_cell_angle_beta 90.00
_cell_angle_gamma 120.00
loop_
_atom_site_label
_atom_site_fract_x
_atom_site_fract_y
_atom_site_fract_z
Y1 0.4313 0.0000 0.0000
Y2 0.0000 0.4313 0.0000
Y3 0.5687 0.5687 0.0000
Si1 0.6667 0.3333 0.5000
Si2 0.0000 0.0000 0.0000
Si3 0.3333 0.6667 0.5000

---

# 2
# Y5Si4 (PBE, relaxed)
# * symmetry: P2_1/c (14)
# * relative energy among the computed polymorphs: 0.004 eV per atom
data_Y5Si4
_chemical_formula_sum 'Y20 Si16'
_space_group_name_H-M_alt 'P 1'
_space_group_IT_number 1
_space_group_name_Hall 'P 1'
_cell_length_a 7.6736
_cell_length_b 7.4804
_cell_length_c 14.6719
_cell_angle_alpha 86.65
_cell_angle_beta 90.00
_cell_angle_gamma 90.00
loop_
_atom_site_label
_atom_site_fract_x
_atom_site_fract_y
_atom_site_fract_z
Y1 0.3199 0.5040 0.5986
Y2 0.3177 0.4797 0.9006
Y3 0.1783 0.6723 0.1219
Y4 0.9936 0.3266 0.2534
Y5 0.3217 0.1723 0.1219
Y6 0.6801 0.4960 0.4014
Y7 0.1801 0.0040 0.5986
Y8 0.6783 0.8277 0.8781
Y9 0.1653 0.6455 0.3802
Y10 0.6653 0.8545 0.6198
Y11 0.1823 0.9797 0.9006
Y12 0.8177 0.0203 0.0994
Y13 0.8199 0.9960 0.4014
Y14 0.6823 0.5203 0.0994
Y15 0.8347 0.3545 0.6198
Y16 0.4936 0.1734 0.7466
Y17 0.3347 0.1455 0.3802
Y18 0.5064 0.8266 0.2534
Y19 0.0064 0.6734 0.7466
Y20 0.8217 0.3277 0.8781
Si1 0.6287 0.2121 0.2480
Si2 0.9719 0.6475 0.9593
Si3 0.8922 0.0464 0.7520
Si4 0.1287 0.2879 0.7520
Si5 0.0347 0.2971 0.4574
Si6 0.6078 0.5464 0.7520
Si7 0.4719 0.8525 0.0407
Si8 0.3922 0.4536 0.2480
Si9 0.4653 0.7971 0.4574
Si10 0.0281 0.3525 0.0407
Si11 0.5347 0.2029 0.5426
Si12 0.8713 0.7121 0.2480
Si13 0.9653 0.7029 0.5426
Si14 0.5281 0.1475 0.9593
Si15 0.1078 0.9536 0.2480
Si16 0.3713 0.7879 0.7520

---

Number 1: energy of formation -0.0362 eV/atom, MP2020-corrected energy -5.9821 eV per atom, energy -36.1 eV per cell. Number 2: energy of formation -0.7360 eV/atom, MP2020-corrected energy -6.7398 eV per atom, energy -243.8 eV per cell.